# Li5V3P8O29, relaxed, DFT PBE+U
data_Li5V3P8O29
_symmetry_space_group_name_H-M 'P 1'
_symmetry_Int_Tables_number 1
_cell_length_a 9.7760
_cell_length_b 9.7851
_cell_length_c 14.0933
_cell_angle_alpha 89.79
_cell_angle_beta 89.60
_cell_angle_gamma 60.39
loop_
_symmetry_equiv_pos_as_xyz
'x,y,z'
loop_
_atom_site_label
_atom_site_fract_x
_atom_site_fract_y
_atom_site_fract_z
_atom_site_occupancy
Li1 0.0000 0.0000 0.0000 1
Li2 0.0014 0.4335 0.0513 1
Li3 0.3531 0.8930 0.1712 1
Li4 0.3581 0.7558 0.6699 1
Li5 0.4469 0.9869 0.5495 1
Li6 0.5752 0.9983 0.0493 1
Li7 0.5786 0.4352 0.5466 1
Li8 0.6848 0.6052 0.1182 1
Li9 0.9025 0.3525 0.6660 1
Li10 0.9864 0.5825 0.5425 1
V1 0.1059 0.6691 0.3543 1
V2 0.1089 0.2340 0.8598 1
V3 0.2413 0.0986 0.3595 1
V4 0.2456 0.6582 0.8602 1
V5 0.6757 0.0960 0.8570 1
V6 0.6761 0.2304 0.3509 1
P1 0.0093 0.9978 0.2372 1
P2 0.0114 0.0007 0.7389 1
P3 0.3430 0.3336 0.4767 1
P4 0.3461 0.3249 0.9793 1
P5 0.3544 0.8925 0.9487 1
P6 0.3545 0.7519 0.4528 1
P7 0.4439 0.9864 0.7677 1
P8 0.4542 0.5817 0.2693 1
P9 0.5887 0.9780 0.2627 1
P10 0.5919 0.4319 0.7670 1
P11 0.7594 0.3583 0.9525 1
P12 0.7589 0.8962 0.4459 1
P13 0.8962 0.7510 0.9459 1
P14 0.9035 0.3440 0.4473 1
P15 0.9910 0.4363 0.2661 1
P16 0.9910 0.5820 0.7611 1
O1 0.9995 0.8576 0.2796 1
O2 0.0028 0.0048 0.1312 1
O3 0.0090 0.4164 0.7693 1
O4 0.0103 0.1510 0.7821 1
O5 0.0223 0.5757 0.2778 1
O6 0.0469 0.7656 0.9398 1
O7 0.0528 0.1838 0.4292 1
O8 0.1449 0.2811 0.2780 1
O9 0.1497 0.5734 0.7887 1
O10 0.1611 0.8509 0.7748 1
O11 0.1639 0.9902 0.2731 1
O12 0.1897 0.0397 0.9371 1
O13 0.1913 0.4808 0.4396 1
O14 0.1922 0.3285 0.9383 1
O15 0.1958 0.7618 0.4309 1
O16 0.2953 0.5874 0.2741 1
O17 0.2967 0.1460 0.7838 1
O18 0.3317 0.7472 0.9431 1
O19 0.3358 0.9185 0.4514 1
O20 0.3448 0.1804 0.4388 1
O21 0.3473 0.3080 0.0839 1
O22 0.3484 0.4685 0.9360 1
O23 0.3580 0.3288 0.5820 1
O24 0.4191 0.0038 0.2728 1
O25 0.4266 0.5788 0.7681 1
O26 0.4267 0.6655 0.5436 1
O27 0.4370 0.8967 0.0371 1
O28 0.4372 0.9070 0.6785 1
O29 0.4624 0.8746 0.8574 1
O30 0.4734 0.6572 0.3676 1
O31 0.4795 0.6686 0.1897 1
O32 0.4910 0.3351 0.4295 1
O33 0.4929 0.1714 0.9359 1
O34 0.5794 0.2827 0.7901 1
O35 0.5848 0.1378 0.2785 1
O36 0.5923 0.4090 0.2734 1
O37 0.5935 0.0045 0.7742 1
O38 0.6593 0.9022 0.1702 1
O39 0.6624 0.9064 0.5296 1
O40 0.6683 0.4595 0.0331 1
O41 0.6778 0.4139 0.6750 1
O42 0.6834 0.8682 0.3498 1
O43 0.6874 0.4510 0.8523 1
O44 0.7536 0.9239 0.9489 1
O45 0.7552 0.3258 0.4479 1
O46 0.7649 0.1959 0.9421 1
O47 0.7661 0.0492 0.4265 1
O48 0.8621 0.1508 0.2812 1
O49 0.8626 0.0046 0.7908 1
O50 0.8733 0.6848 0.8459 1
O51 0.8804 0.4537 0.3569 1
O52 0.8849 0.6548 0.0245 1
O53 0.9032 0.4526 0.1768 1
O54 0.9162 0.4220 0.5361 1
O55 0.9267 0.7522 0.4467 1
O56 0.9303 0.6571 0.6682 1
O57 0.9314 0.3258 0.9516 1
O58 0.9952 0.0159 0.6345 1
# total moment = 4.00 μB per cell
# E_tot = -7.031 eV/atom

***

# Li5V3P8O29, relaxed, DFT PBE+U
data_Li5V3P8O29
_symmetry_space_group_name_H-M 'P 1'
_symmetry_Int_Tables_number 1
_cell_length_a 9.7715
_cell_length_b 9.7847
_cell_length_c 14.0148
_cell_angle_alpha 90.40
_cell_angle_beta 90.21
_cell_angle_gamma 119.53
loop_
_symmetry_equiv_pos_as_xyz
'x,y,z'
loop_
_atom_site_label
_atom_site_fract_x
_atom_site_fract_y
_atom_site_fract_z
_atom_site_occupancy
Li1 0.0000 0.0000 0.0000 1
Li2 0.0002 0.4461 0.5022 1
Li3 0.2311 0.7684 0.3832 1
Li4 0.2493 0.3492 0.8286 1
Li5 0.5683 0.9964 0.0507 1
Li6 0.5818 0.5810 0.5046 1
Li7 0.6753 0.3476 0.3803 1
Li8 0.8122 0.3461 0.8796 1
Li9 0.8225 0.9004 0.3829 1
Li10 0.9094 0.6737 0.9353 1
V1 0.3371 0.0993 0.6897 1
V2 0.3374 0.6727 0.1861 1
V3 0.4692 0.2437 0.1882 1
V4 0.4774 0.6771 0.6980 1
V5 0.9066 0.1035 0.1936 1
V6 0.9067 0.2423 0.6889 1
P1 0.0001 0.9921 0.7831 1
P2 0.1276 0.5869 0.7859 1
P3 0.1401 0.9893 0.2860 1
P4 0.2173 0.8993 0.0989 1
P5 0.2239 0.7571 0.6010 1
P6 0.2336 0.3355 0.0674 1
P7 0.2446 0.3423 0.5703 1
P8 0.5719 0.0083 0.3122 1
P9 0.5774 0.0147 0.8140 1
P10 0.5890 0.5893 0.2824 1
P11 0.5953 0.4485 0.7824 1
P12 0.6717 0.3547 0.5966 1
P13 0.6847 0.7593 0.0969 1
P14 0.8122 0.3533 0.0983 1
P15 0.8177 0.9028 0.6006 1
P16 0.9950 0.4439 0.2805 1
O1 0.0058 0.2933 0.2610 1
O2 0.0163 0.1566 0.7710 1
O3 0.0894 0.1826 0.1040 1
O4 0.0929 0.3454 0.6072 1
O5 0.1063 0.6688 0.8688 1
O6 0.1099 0.6648 0.6872 1
O7 0.1180 0.8812 0.1932 1
O8 0.1218 0.8943 0.0149 1
O9 0.1498 0.6740 0.5088 1
O10 0.1526 0.9101 0.3725 1
O11 0.1590 0.5918 0.2797 1
O12 0.1695 0.0153 0.7738 1
O13 0.2344 0.4813 0.1097 1
O14 0.2425 0.3299 0.9613 1
O15 0.2464 0.3364 0.4644 1
O16 0.2466 0.1970 0.6199 1
O17 0.2471 0.9258 0.6057 1
O18 0.2512 0.7601 0.1025 1
O19 0.2779 0.5723 0.7768 1
O20 0.2888 0.1489 0.2629 1
O21 0.3820 0.0510 0.1111 1
O22 0.3827 0.7652 0.6210 1
O23 0.3839 0.3346 0.1147 1
O24 0.3949 0.4905 0.6112 1
O25 0.4209 0.8599 0.2722 1
O26 0.4289 0.0149 0.7668 1
O27 0.4301 0.5812 0.2618 1
O28 0.4332 0.2974 0.7735 1
O29 0.5249 0.1962 0.6177 1
O30 0.5356 0.7764 0.1078 1
O31 0.5624 0.5887 0.7812 1
O32 0.5678 0.4205 0.2796 1
O33 0.5706 0.0210 0.9205 1
O34 0.5736 0.1585 0.2670 1
O35 0.5750 0.0194 0.4182 1
O36 0.5789 0.8687 0.7734 1
O37 0.6433 0.3313 0.1094 1
O38 0.6524 0.7555 0.6055 1
O39 0.6589 0.4276 0.5054 1
O40 0.6636 0.6714 0.3747 1
O41 0.6903 0.4694 0.6837 1
O42 0.7005 0.4599 0.8627 1
O43 0.7018 0.6804 0.1956 1
O44 0.7027 0.6766 0.0137 1
O45 0.7214 0.0019 0.2742 1
O46 0.7237 0.1670 0.7778 1
O47 0.7960 0.1894 0.1118 1
O48 0.8079 0.0545 0.6225 1
O49 0.8224 0.3399 0.5982 1
O50 0.8277 0.9321 0.1047 1
O51 0.8866 0.4357 0.0084 1
O52 0.8980 0.9126 0.5095 1
O53 0.9043 0.4624 0.1896 1
O54 0.9063 0.4307 0.3704 1
O55 0.9092 0.8848 0.6916 1
O56 0.9251 0.9089 0.8729 1
O57 0.9859 0.4140 0.7779 1
O58 0.9924 0.0095 0.2837 1
# total moment = 4.00 μB per cell
# E_tot = -7.022 eV/atom

***

# Li5V2P5O18, relaxed, DFT PBE+U
data_Li5V2P5O18
_symmetry_space_group_name_H-M 'P 1'
_symmetry_Int_Tables_number 1
_cell_length_a 6.5345
_cell_length_b 9.3836
_cell_length_c 10.6464
_cell_angle_alpha 96.60
_cell_angle_beta 93.06
_cell_angle_gamma 91.46
loop_
_symmetry_equiv_pos_as_xyz
'x,y,z'
loop_
_atom_site_label
_atom_site_fract_x
_atom_site_fract_y
_atom_site_fract_z
_atom_site_occupancy
Li1 0.0191 0.4568 0.1268 1
Li2 0.1206 0.7094 0.6601 1
Li3 0.1720 0.3696 0.6405 1
Li4 0.3426 0.8665 0.8616 1
Li5 0.4439 0.2243 0.4118 1
Li6 0.5561 0.7757 0.5882 1
Li7 0.6574 0.1335 0.1384 1
Li8 0.8280 0.6304 0.3595 1
Li9 0.8794 0.2906 0.3399 1
Li10 0.9809 0.5432 0.8732 1
V1 0.2310 0.8570 0.4034 1
V2 0.3265 0.2674 0.9492 1
V3 0.6735 0.7326 0.0508 1
V4 0.7690 0.1430 0.5966 1
P1 0.1623 0.0813 0.1753 1
P2 0.1711 0.7718 0.1008 1
P3 0.2231 0.5130 0.4016 1
P4 0.2804 0.0834 0.6513 1
P5 0.4827 0.5462 0.7994 1
P6 0.5173 0.4538 0.2006 1
P7 0.7196 0.9166 0.3487 1
P8 0.7769 0.4870 0.5984 1
P9 0.8289 0.2282 0.8992 1
P10 0.8377 0.9187 0.8247 1
O1 0.0087 0.3298 0.9551 1
O2 0.0229 0.8259 0.8140 1
O3 0.0306 0.4838 0.3123 1
O4 0.0768 0.9273 0.1016 1
O5 0.0822 0.1604 0.6137 1
O6 0.2176 0.6602 0.4830 1
O7 0.2277 0.7483 0.2365 1
O8 0.2573 0.9221 0.5965 1
O9 0.2643 0.0524 0.3039 1
O10 0.2674 0.3875 0.4752 1
O11 0.3213 0.1028 0.7977 1
O12 0.3224 0.1292 0.0843 1
O13 0.3237 0.4320 0.8314 1
O14 0.3432 0.4246 0.0954 1
O15 0.3578 0.7615 0.0203 1
O16 0.3900 0.6794 0.7545 1
O17 0.4182 0.5361 0.3197 1
O18 0.4592 0.1524 0.5860 1
O19 0.5408 0.8476 0.4140 1
O20 0.5818 0.4639 0.6803 1
O21 0.6100 0.3206 0.2455 1
O22 0.6422 0.2385 0.9797 1
O23 0.6568 0.5754 0.9046 1
O24 0.6763 0.5680 0.1686 1
O25 0.6776 0.8708 0.9157 1
O26 0.6787 0.8972 0.2023 1
O27 0.7326 0.6125 0.5248 1
O28 0.7357 0.9476 0.6961 1
O29 0.7427 0.0779 0.4035 1
O30 0.7723 0.2517 0.7635 1
O31 0.7824 0.3398 0.5170 1
O32 0.9178 0.8396 0.3863 1
O33 0.9232 0.0727 0.8984 1
O34 0.9694 0.5162 0.6877 1
O35 0.9771 0.1741 0.1860 1
O36 0.9913 0.6702 0.0449 1
# total moment = 8.00 μB per cell
# E_tot = -6.977 eV/atom

***

# LiVP2O7, relaxed, DFT PBE+U
data_LiVP2O7
_symmetry_space_group_name_H-M 'P 1'
_symmetry_Int_Tables_number 1
_cell_length_a 5.2276
_cell_length_b 8.2319
_cell_length_c 13.9499
_cell_angle_alpha 90.00
_cell_angle_beta 108.95
_cell_angle_gamma 90.00
loop_
_symmetry_equiv_pos_as_xyz
'x,y,z'
loop_
_atom_site_label
_atom_site_fract_x
_atom_site_fract_y
_atom_site_fract_z
_atom_site_occupancy
Li1 0.0716 0.2422 0.2677 1
Li2 0.0716 0.2578 0.7677 1
Li3 0.9284 0.7422 0.2323 1
Li4 0.9284 0.7578 0.7323 1
V1 0.3461 0.6482 0.6290 1
V2 0.3461 0.8518 0.1290 1
V3 0.6539 0.1482 0.8710 1
V4 0.6539 0.3518 0.3710 1
P1 0.2935 0.2046 0.0180 1
P2 0.2935 0.2954 0.5180 1
P3 0.4575 0.0444 0.6794 1
P4 0.4575 0.4556 0.1794 1
P5 0.5425 0.5444 0.8206 1
P6 0.5425 0.9556 0.3206 1
P7 0.7065 0.7046 0.4820 1
P8 0.7065 0.7954 0.9820 1
O1 0.0535 0.2203 0.9202 1
O2 0.0535 0.2797 0.4202 1
O3 0.2500 0.0865 0.0958 1
O4 0.2500 0.4135 0.5958 1
O5 0.2801 0.0653 0.7476 1
O6 0.2801 0.4347 0.2476 1
O7 0.2811 0.6415 0.7660 1
O8 0.2811 0.8585 0.2660 1
O9 0.3128 0.1147 0.5684 1
O10 0.3128 0.3853 0.0684 1
O11 0.4391 0.6757 0.5019 1
O12 0.4391 0.8243 0.0019 1
O13 0.4721 0.1320 0.3342 1
O14 0.4721 0.3680 0.8342 1
O15 0.5279 0.6320 0.1658 1
O16 0.5279 0.8680 0.6658 1
O17 0.5609 0.1757 0.9981 1
O18 0.5609 0.3243 0.4981 1
O19 0.6872 0.6147 0.9316 1
O20 0.6872 0.8853 0.4316 1
O21 0.7189 0.1415 0.7340 1
O22 0.7189 0.3585 0.2340 1
O23 0.7199 0.5653 0.7524 1
O24 0.7199 0.9347 0.2524 1
O25 0.7500 0.5865 0.4042 1
O26 0.7500 0.9135 0.9042 1
O27 0.9465 0.7203 0.5798 1
O28 0.9465 0.7797 0.0798 1
# total moment = 8.00 μB per cell
# E_tot = -7.219 eV/atom

***

# Li3V3P4O16, relaxed, DFT PBE+U
data_Li3V3P4O16
_symmetry_space_group_name_H-M 'P 1'
_symmetry_Int_Tables_number 1
_cell_length_a 7.6704
_cell_length_b 8.1139
_cell_length_c 10.1988
_cell_angle_alpha 90.00
_cell_angle_beta 94.28
_cell_angle_gamma 90.00
loop_
_symmetry_equiv_pos_as_xyz
'x,y,z'
loop_
_atom_site_label
_atom_site_fract_x
_atom_site_fract_y
_atom_site_fract_z
_atom_site_occupancy
Li1 0.1386 0.0000 0.0779 1
Li2 0.1524 0.0081 0.5763 1
Li3 0.3417 0.2726 0.6712 1
Li4 0.6583 0.7726 0.3288 1
Li5 0.8476 0.5081 0.4237 1
Li6 0.8614 0.5000 0.9221 1
V1 0.2364 0.6361 0.6246 1
V2 0.2415 0.6529 0.1295 1
V3 0.3572 0.2809 0.1777 1
V4 0.6428 0.7809 0.8223 1
V5 0.7585 0.1529 0.8705 1
V6 0.7636 0.1361 0.3754 1
P1 0.0481 0.8400 0.8539 1
P2 0.0496 0.8296 0.3586 1
P3 0.4486 0.4564 0.4008 1
P4 0.4502 0.4441 0.8938 1
P5 0.5498 0.9441 0.1062 1
P6 0.5514 0.9564 0.5992 1
P7 0.9504 0.3296 0.6414 1
P8 0.9519 0.3400 0.1461 1
O1 0.0051 0.5081 0.6038 1
O2 0.0144 0.5136 0.1055 1
O3 0.1014 0.2110 0.6565 1
O4 0.1132 0.2199 0.1549 1
O5 0.1352 0.8324 0.7226 1
O6 0.1446 0.8370 0.2261 1
O7 0.1816 0.7831 0.9649 1
O8 0.1928 0.7776 0.4676 1
O9 0.3071 0.4952 0.2832 1
O10 0.3069 0.5008 0.7908 1
O11 0.3559 0.4467 0.5294 1
O12 0.3697 0.4451 0.0336 1
O13 0.3952 0.0664 0.0941 1
O14 0.3993 0.0715 0.5921 1
O15 0.4865 0.7708 0.1417 1
O16 0.4969 0.7765 0.6519 1
O17 0.5031 0.2765 0.3481 1
O18 0.5135 0.2708 0.8583 1
O19 0.6007 0.5715 0.4079 1
O20 0.6048 0.5664 0.9059 1
O21 0.6303 0.9451 0.9664 1
O22 0.6441 0.9467 0.4706 1
O23 0.6931 0.0008 0.2092 1
O24 0.6929 0.9952 0.7168 1
O25 0.8072 0.2776 0.5324 1
O26 0.8184 0.2831 0.0351 1
O27 0.8554 0.3370 0.7739 1
O28 0.8648 0.3324 0.2774 1
O29 0.8868 0.7199 0.8451 1
O30 0.8986 0.7110 0.3435 1
O31 0.9856 0.0136 0.8945 1
O32 0.9949 0.0081 0.3962 1
# total moment = 12.00 μB per cell
# E_tot = -7.238 eV/atom